# Ho4MgNi (r²SCAN, optimized geometry)
data_Ho4MgNi
_cell_length_a 9.537
_cell_length_b 9.537
_cell_length_c 9.537
_cell_angle_alpha 60.00
_cell_angle_beta 60.00
_cell_angle_gamma 60.00
_symmetry_space_group_name_H-M 'P 1'
_symmetry_Int_Tables_number 1
loop_
_symmetry_equiv_pos_as_xyz
'x,y,z'
loop_
_atom_site_label
_atom_site_fract_x
_atom_site_fract_y
_atom_site_fract_z
Ho1 0.062 0.062 0.438
Ho2 0.062 0.438 0.062
Ho3 0.062 0.438 0.438
Ho4 0.186 0.186 0.814
Ho5 0.186 0.814 0.186
Ho6 0.186 0.814 0.814
Ho7 0.212 0.596 0.596
Ho8 0.438 0.062 0.062
Ho9 0.438 0.062 0.438
Ho10 0.438 0.438 0.062
Ho11 0.596 0.212 0.596
Ho12 0.596 0.596 0.212
Ho13 0.596 0.596 0.596
Ho14 0.814 0.186 0.186
Ho15 0.814 0.186 0.814
Ho16 0.814 0.814 0.186
Mg1 0.513 0.829 0.829
Mg2 0.829 0.513 0.829
Mg3 0.829 0.829 0.513
Mg4 0.829 0.829 0.829
Ni1 0.392 0.392 0.392
Ni2 0.392 0.392 0.825
Ni3 0.392 0.825 0.392
Ni4 0.825 0.392 0.392
# total energy = -24.8210 eV per atom
# space-group type = F-43m, No. 216